Arrangement one

Entry from the Materials Project: a relaxed Li2BeH4 crystal (PBE).

Cell: 4.9601 6.6147 12.3537 Å, 98.68 93.14 89.89°
With the nearest neighbours (Å) after each atom.
Fractional coordinates of all 42 atoms:
Li: 0.4145 0.4394 0.1533  3 H 1.73-1.81
Li: 0.3771 0.0145 0.1687  2 H 1.81-1.89
Li: 0.4263 0.2769 0.3664  3 H 1.75-1.95
Li: 0.3260 0.7485 0.3444  2 H 1.89-1.97
Li: 0.3962 0.4983 0.7898  3 H 1.91-1.96
Li: 0.4638 0.0664 0.8754  3 H 1.82-1.99
Li: 0.6330 0.9272 0.6696  3 H 1.85-1.89
Li: 0.9483 0.4825 0.5805  3 H 1.85-2.01
Li: 0.9426 0.2362 0.1957  2 H 1.76-1.93
Li: 0.9017 0.7100 0.1187  4 H 1.84-2.01
Li: 0.8978 0.7258 0.8532  5 H 1.94-2.08
Li: 0.9151 0.3086 0.8024  4 H 1.82-1.91
Be: 0.7998 0.6023 0.3168  2 H 1.50-1.54
Be: 0.8068 0.9402 0.3180  1 H 1.47
Be: 0.8996 0.2322 0.4129  2 H 1.42-1.43
Be: 0.8546 0.7756 0.4592  3 H 1.41-1.54
Be: 0.0577 0.3908 0.9826  3 H 1.43-1.48
Be: 0.0035 0.0406 0.9914  3 H 1.42-1.49
H: 0.0356 0.5090 0.7292  3 Li 1.83-1.91
H: 0.2890 0.2697 0.2323  4 Li 1.73-1.81
H: 0.1896 0.9150 0.9247  1 Be 1.45
H: 0.2399 0.3442 0.8931  1 Be 1.46
H: 0.4460 0.5795 0.6218  1 H 0.76
H: 0.4231 0.0140 0.5330  1 H 0.76
H: 0.9212 0.9963 0.4307  3 Be 1.47-1.61
H: 0.0299 0.6148 0.4066  2 Be 1.47-1.54
H: 0.4451 0.2110 0.0543  1 H 0.80
H: 0.5106 0.7470 0.0752  1 H 0.77
H: 0.8840 0.7913 0.5746  1 Be 1.41
H: 0.1493 0.3016 0.4674  1 Be 1.42
H: 0.0232 0.9831 0.1032  1 Be 1.49
H: 0.1776 0.5446 0.0647  1 Be 1.43
H: 0.6951 0.2898 0.4880  1 Be 1.43
H: 0.6230 0.6279 0.4125  2 Be 1.50-1.54
H: 0.8263 0.4884 0.9305  1 Be 1.48
H: 0.7507 0.9603 0.9450  1 Be 1.42
H: 0.5600 0.7599 0.7714  3 Li 1.85-1.96
H: 0.5953 0.1870 0.7499  3 Li 1.82-1.99
H: 0.3175 0.9486 0.5541  1 H 0.76
H: 0.4397 0.4909 0.5743  1 H 0.76
H: 0.5803 0.8144 0.0388  1 H 0.77
H: 0.6032 0.2355 0.0558  1 H 0.80

Properties
Density = 0.67 g/cm³
Total magnetization = 0.0 μB/f.u.
Space-group type = P1

Arrangement two

Entry from the Materials Project: a relaxed Li2BeH4 crystal (PBE).

Cell: 6.9973 8.2370 8.2908 Å, 90.00 93.64 90.00°
With the nearest neighbours (Å) after each atom.
Fractional coordinates of all 56 atoms:
Li: 0.6861 0.4236 0.9420  4 H 1.84-1.91
Li: 0.3139 0.9236 0.5580  4 H 1.84-1.91
Li: 0.3139 0.5764 0.0580  4 H 1.84-1.91
Li: 0.6861 0.0764 0.4420  4 H 1.84-1.91
Li: 0.1202 0.2855 0.9191  4 H 1.88-1.99
Li: 0.8798 0.7855 0.5809  4 H 1.88-1.99
Li: 0.8798 0.7145 0.0809  4 H 1.88-1.99
Li: 0.1202 0.2145 0.4191  4 H 1.88-1.99
Li: 0.8377 0.4152 0.5915  5 H 1.89-2.11
Li: 0.1623 0.9152 0.9085  5 H 1.89-2.11
Li: 0.1623 0.5848 0.4085  5 H 1.89-2.11
Li: 0.8377 0.0848 0.0915  5 H 1.89-2.11
Li: 0.4156 0.5707 0.7083  4 H 1.85-1.96
Li: 0.5844 0.0707 0.7917  4 H 1.85-1.96
Li: 0.5844 0.4293 0.2917  4 H 1.85-1.96
Li: 0.4156 0.9293 0.2083  4 H 1.85-1.96
Be: 0.9643 0.4313 0.1978  4 H 1.42-1.45
Be: 0.0357 0.9313 0.3022  4 H 1.42-1.45
Be: 0.0357 0.5687 0.8022  4 H 1.42-1.45
Be: 0.9643 0.0687 0.6978  4 H 1.42-1.45
Be: 0.4834 0.2941 0.5645  4 H 1.43-1.44
Be: 0.5166 0.7941 0.9355  4 H 1.43-1.44
Be: 0.5166 0.7059 0.4355  4 H 1.43-1.44
Be: 0.4834 0.2059 0.0645  4 H 1.43-1.44
H: 0.2183 0.4994 0.8506  1 Be 1.43
H: 0.7817 0.9994 0.6494  1 Be 1.43
H: 0.7817 0.5006 0.1494  1 Be 1.43
H: 0.2183 0.0006 0.3506  1 Be 1.43
H: 0.9727 0.4069 0.3707  1 Be 1.45
H: 0.0273 0.9069 0.1293  1 Be 1.45
H: 0.0273 0.5931 0.6293  1 Be 1.45
H: 0.9727 0.0931 0.8707  1 Be 1.45
H: 0.6469 0.2978 0.4682  1 Be 1.44
H: 0.3531 0.7978 0.0318  1 Be 1.44
H: 0.3531 0.7022 0.5318  1 Be 1.44
H: 0.6469 0.2022 0.9682  1 Be 1.44
H: 0.4460 0.3752 0.0913  1 Be 1.44
H: 0.5540 0.8752 0.4087  1 Be 1.44
H: 0.5540 0.6248 0.9087  1 Be 1.44
H: 0.4460 0.1248 0.5913  1 Be 1.44
H: 0.0018 0.2837 0.1168  1 Be 1.42
H: 0.9982 0.7837 0.3832  1 Be 1.42
H: 0.9982 0.7163 0.8832  1 Be 1.42
H: 0.0018 0.2163 0.6168  1 Be 1.42
H: 0.5448 0.3712 0.7136  1 Be 1.43
H: 0.4552 0.8712 0.7864  1 Be 1.43
H: 0.4552 0.6288 0.2864  1 Be 1.43
H: 0.5448 0.1288 0.2136  1 Be 1.43
H: 0.9010 0.4427 0.8262  1 Be 1.42
H: 0.0990 0.9427 0.6738  1 Be 1.42
H: 0.0990 0.5573 0.1738  1 Be 1.42
H: 0.9010 0.0573 0.3262  1 Be 1.42
H: 0.3270 0.3733 0.4784  1 Be 1.43
H: 0.6730 0.8733 0.0216  1 Be 1.43
H: 0.6730 0.6267 0.5216  1 Be 1.43
H: 0.3270 0.1267 0.9784  1 Be 1.43

Properties
Density = 0.75 g/cm³
Total magnetization = 0.0 μB/f.u.
Space-group type = P2_1/c

Each structure's energy above the most stable one, in meV/atom: arrangement one 255; arrangement two 0.

Arrangement one

Entry from the Materials Project: a relaxed Mg5Si9 crystal (PBE).

Cell: 6.7480 7.1842 12.3481 Å, 87.71 100.13 114.95°
With the nearest neighbours (Å) after each atom.
Fractional coordinates of all 28 atoms:
Mg: 0.4776 0.9909 0.2767  4 Si 2.77-2.93
Mg: 0.2384 0.0544 0.5674  5 Si 2.72-2.91, 2 Mg 2.97-3.00
Mg: 0.5152 0.6955 0.4713  3 Si 2.62-2.80
Mg: 0.6414 0.4283 0.6659  4 Si 2.71-2.99, 1 Mg 3.00
Mg: 0.9609 0.6308 0.4726  6 Si 2.74-3.02, 1 Mg 2.97
Mg: 0.7772 0.1570 0.5188  4 Si 2.64-2.72
Mg: 0.4664 0.1195 0.8796  7 Si 2.74-3.07
Mg: 0.8308 0.2026 0.1076  7 Si 2.77-3.06
Mg: 0.6130 0.7180 0.8662  6 Si 2.73-2.94
Mg: 0.4553 0.4092 0.0566  4 Si 2.73-2.91
Si: 0.9302 0.2420 0.8436  4 Si 2.37-2.50
Si: 0.1446 0.6573 0.0994  4 Si 2.35-2.47
Si: 0.8616 0.8432 0.6690  2 Si 2.40-2.55
Si: 0.1714 0.2209 0.3000  4 Si 2.38-2.53
Si: 0.2570 0.3804 0.7570  3 Si 2.38-2.49
Si: 0.7404 0.7597 0.2058  4 Si 2.37-2.44
Si: 0.2386 0.7101 0.7004  4 Si 2.49-2.66
Si: 0.7316 0.4241 0.2537  3 Si 2.43-2.44
Si: 0.0462 0.7836 0.8424  4 Si 2.40-2.55
Si: 0.8837 0.9516 0.3786  2 Si 2.40-2.41, 1 Mg 2.69
Si: 0.0832 0.9575 0.1478  4 Si 2.36-2.53
Si: 0.0983 0.0648 0.9650  3 Si 2.36-2.44
Si: 0.6115 0.0089 0.7056  3 Si 2.50-2.55, 2 Mg 2.72-2.78
Si: 0.1329 0.5380 0.2818  3 Si 2.38-2.44
Si: 0.5003 0.8104 0.0519  2 Si 2.35-2.39
Si: 0.8577 0.4860 0.9439  3 Si 2.41-2.44
Si: 0.5339 0.3381 0.4084  2 Si 2.38-2.43, 1 Mg 2.67
Si: 0.2007 0.4169 0.5632  2 Si 2.38-2.66, 2 Mg 2.62-2.64

Properties
Density = 2.33 g/cm³
Total magnetization = 0.0 μB/f.u.
Space-group type = P1

Arrangement two

Entry from the Materials Project: a relaxed Mg5Si9 crystal (PBE).

Cell: 7.2564 7.5435 10.5140 Å, 95.65 104.29 112.20°
With the nearest neighbours (Å) after each atom.
Fractional coordinates of all 28 atoms:
Mg: 0.5567 0.9645 0.5888  5 Si 2.73-3.05
Mg: 0.8794 0.0952 0.4314  6 Si 2.83-3.14, 2 Mg 3.05-3.11
Mg: 0.1608 0.5776 0.5452  5 Si 2.77-2.90
Mg: 0.6941 0.3979 0.3349  4 Si 2.79-3.11, 4 Mg 2.92-3.04
Mg: 0.7858 0.6786 0.5784  3 Si 2.62-2.76, 1 Mg 2.92
Mg: 0.3858 0.2946 0.4948  3 Si 2.71-3.00
Mg: 0.6950 0.0878 0.1357  6 Si 2.68-2.90, 1 Mg 2.99
Mg: 0.5811 0.2739 0.8146  6 Si 2.72-3.04
Mg: 0.8861 0.5421 0.1181  7 Si 2.78-2.95, 2 Mg 3.01-3.04
Mg: 0.0126 0.2890 0.9500  7 Si 2.79-3.10, 2 Mg 3.01-3.06
Si: 0.1800 0.1347 0.1751  4 Si 2.40-2.47
Si: 0.4181 0.5291 0.9578  4 Si 2.40-2.59
Si: 0.0325 0.8019 0.3807  3 Si 2.47-2.50
Si: 0.1606 0.3120 0.7273  5 Si 2.45-2.65
Si: 0.1085 0.3808 0.2899  2 Si 2.40-2.49
Si: 0.0123 0.9645 0.7891  4 Si 2.40-2.65, 1 Mg 2.62
Si: 0.2710 0.7213 0.0733  3 Si 2.39-2.53
Si: 0.9173 0.6371 0.8696  3 Si 2.49-2.71, 1 Mg 2.78
Si: 0.6992 0.7617 0.2184  3 Si 2.48-2.66, 1 Mg 2.70
Si: 0.1904 0.0077 0.6141  3 Si 2.48-2.59, 1 Mg 2.71
Si: 0.6071 0.9321 0.8553  3 Si 2.42-2.45
Si: 0.8623 0.8724 0.0234  4 Si 2.43-2.66, 1 Mg 2.71
Si: 0.3343 0.9341 0.2955  4 Si 2.47-2.72
Si: 0.5044 0.5920 0.7465  3 Si 2.45-2.53
Si: 0.3192 0.9463 0.9269  4 Si 2.39-2.44
Si: 0.4447 0.2717 0.0672  3 Si 2.40-2.44, 1 Mg 2.68
Si: 0.8348 0.3448 0.6293  1 Si 2.45, 1 Mg 2.73
Si: 0.4654 0.6543 0.3684  3 Si 2.49-2.72, 1 Mg 2.72

Properties
Density = 2.46 g/cm³
Total magnetization = 0.0 μB/f.u.
Space-group type = P1

Each structure's energy above the most stable one, in meV/atom: arrangement one 0; arrangement two 35.

Arrangement one

Entry from the Materials Project: a relaxed Sr2Ti6N2O11 crystal (PBE).

Cell: 7.8465 7.8465 9.3062 Å, 81.39 81.39 28.41°
With the nearest neighbours (Å) after each atom.
Fractional coordinates of all 21 atoms:
Sr: 0.5552 0.5552 0.2383  4 O 2.65-2.67, 2 N 2.68
Sr: 0.4554 0.4554 0.7729  6 O 2.59-2.82
Ti: 0.1213 0.1213 0.9132  4 O 1.84-1.96
Ti: 0.1660 0.1660 0.5579  4 O 1.84-1.99
Ti: 0.2417 0.2417 0.2428  1 N 1.94, 5 O 1.94-2.06
Ti: 0.7684 0.7684 0.7686  2 O 1.76-1.95
Ti: 0.8325 0.8325 0.4351  3 N 1.88-2.03, 1 O 1.89
Ti: 0.8881 0.8881 0.1104  1 N 1.87, 3 O 1.89-1.98
N: 0.2928 0.2928 0.4208  4 Ti 1.94-2.14
N: 0.9320 0.9320 0.2869  2 Ti 1.87-1.88
O: 0.0685 0.0685 0.7056  1 Ti 1.86
O: 0.1228 0.1228 0.3833  2 Ti 1.84-2.06
O: 0.1546 0.1546 0.0957  2 Ti 1.84-2.05
O: 0.6397 0.6397 0.8867  3 Ti 1.96-2.09
O: 0.6972 0.6972 0.5741  2 Ti 1.99
O: 0.7551 0.7551 0.2319  3 Ti 1.94-2.16
O: 0.2401 0.2401 0.7613  3 Ti 1.98-2.12
O: 0.3586 0.3586 0.1084  3 Ti 1.98-2.01
O: 0.8386 0.8386 0.9018  1 Ti 1.76
O: 0.8722 0.8722 0.6174  2 Ti 1.89-1.95
O: 0.9993 0.9993 0.9869  2 Ti 1.88-1.89

Properties
Density = 4.11 g/cm³
Total magnetization = 0.0 μB/f.u.
Space-group type = Cm

Arrangement two

Entry from the Materials Project: a relaxed Sr2Ti6N2O11 crystal (PBE).

Cell: 7.7373 7.7373 9.2740 Å, 81.57 81.57 29.04°
With the nearest neighbours (Å) after each atom.
Fractional coordinates of all 21 atoms:
Sr: 0.5451 0.5451 0.2258  6 O 2.59-2.81
Sr: 0.4487 0.4487 0.7642  6 O 2.64-2.71
Ti: 0.1172 0.1172 0.9023  3 O 1.88-2.04, 2 N 1.97
Ti: 0.1700 0.1700 0.5618  2 O 1.87-1.88, 2 N 2.02
Ti: 0.2335 0.2335 0.2341  4 O 1.79-1.97
Ti: 0.7521 0.7521 0.7692  2 N 1.90-2.03, 3 O 1.94-1.99
Ti: 0.8346 0.8346 0.4480  2 O 1.79-1.90
Ti: 0.8777 0.8777 0.0898  4 O 1.87-1.97
N: 0.6384 0.6384 0.8914  3 Ti 1.90-1.97
N: 0.7060 0.7060 0.5748  4 Ti 2.02-2.10
O: 0.0685 0.0685 0.7086  2 Ti 1.88-2.04
O: 0.1261 0.1261 0.3838  2 Ti 1.87-1.96
O: 0.1600 0.1600 0.0983  1 Ti 1.79
O: 0.7566 0.7566 0.2372  3 Ti 1.97-2.10
O: 0.2460 0.2460 0.7608  3 Ti 1.94-2.16
O: 0.3018 0.3018 0.4256  4 Ti 2.02-2.18
O: 0.3593 0.3593 0.1146  3 Ti 1.97-2.04
O: 0.8430 0.8430 0.9047  2 Ti 1.87-1.99
O: 0.8850 0.8850 0.6115  1 Ti 1.79
O: 0.9311 0.9311 0.2887  2 Ti 1.90-2.12
O: 0.9992 0.9992 0.0049  2 Ti 1.87-1.88

Properties
Density = 4.15 g/cm³
Total magnetization = 0.0 μB/f.u.
Space-group type = Cm

Each structure's energy above the most stable one, in meV/atom: arrangement one 15; arrangement two 0.

Arrangement one

Entry from the Materials Project: a relaxed Ti2ZnO4 crystal (PBE).

Cell: 5.0359 5.8672 10.5748 Å, 90.00 90.00 90.00°
With the nearest neighbours (Å) after each atom.
Fractional coordinates of all 28 atoms:
Ti: 0.0302 0.5000 0.2387  6 O 2.00-2.10
Ti: 0.0302 0.5000 0.7613  6 O 2.00-2.10
Ti: 0.9698 0.0000 0.2613  6 O 2.00-2.10
Ti: 0.9698 0.0000 0.7387  6 O 2.00-2.10
Ti: 0.5000 0.2500 0.2500  6 O 2.03-2.10
Ti: 0.5000 0.7500 0.7500  6 O 2.03-2.10
Ti: 0.5000 0.7500 0.2500  6 O 2.03-2.10
Ti: 0.5000 0.2500 0.7500  6 O 2.03-2.10
Zn: 0.3444 0.0000 0.5000  6 O 2.05-2.24
Zn: 0.6556 0.5000 0.0000  6 O 2.05-2.24
Zn: 0.0357 0.0000 0.0000  6 O 2.12-2.28
Zn: 0.9643 0.5000 0.5000  6 O 2.12-2.28
O: 0.3624 0.5000 0.1344  3 Ti 2.00-2.03, 1 Zn 2.05
O: 0.3624 0.5000 0.8656  3 Ti 2.00-2.03, 1 Zn 2.05
O: 0.6376 0.0000 0.3656  3 Ti 2.00-2.03, 1 Zn 2.05
O: 0.6376 0.0000 0.6344  3 Ti 2.00-2.03, 1 Zn 2.05
O: 0.6853 0.5000 0.3497  3 Ti 2.03-2.10, 1 Zn 2.12
O: 0.6853 0.5000 0.6503  3 Ti 2.03-2.10, 1 Zn 2.12
O: 0.3147 0.0000 0.1503  3 Ti 2.03-2.10, 1 Zn 2.12
O: 0.3147 0.0000 0.8497  3 Ti 2.03-2.10, 1 Zn 2.12
O: 0.1609 0.2489 0.3650  3 Ti 2.06-2.10, 2 Zn 2.24-2.28
O: 0.1609 0.7511 0.6350  3 Ti 2.06-2.10, 2 Zn 2.24-2.28
O: 0.8391 0.7489 0.1350  3 Ti 2.06-2.10, 2 Zn 2.24-2.28
O: 0.8391 0.2511 0.8650  3 Ti 2.06-2.10, 2 Zn 2.24-2.28
O: 0.8391 0.2511 0.1350  3 Ti 2.06-2.10, 2 Zn 2.24-2.28
O: 0.8391 0.7489 0.8650  3 Ti 2.06-2.10, 2 Zn 2.24-2.28
O: 0.1609 0.7511 0.3650  3 Ti 2.06-2.10, 2 Zn 2.24-2.28
O: 0.1609 0.2489 0.6350  3 Ti 2.06-2.10, 2 Zn 2.24-2.28

Properties
Density = 4.79 g/cm³
Total magnetization = 0.4 μB/f.u.
Space-group type = Pmmn

Arrangement two

Entry from the Materials Project: a relaxed Ti2ZnO4 crystal (PBE).

Cell: 6.1273 6.1273 14.8547 Å, 89.56 89.56 58.31°
With the nearest neighbours (Å) after each atom.
Fractional coordinates of all 42 atoms:
Ti: 0.8105 0.3445 0.8370  6 O 1.99-2.17
Ti: 0.5024 0.5024 0.6204  4 O 1.90-1.93
Ti: 0.4950 0.4950 0.0082  6 O 2.06-2.18
Ti: 0.3445 0.8105 0.8370  6 O 1.99-2.17
Ti: 0.5146 0.9871 0.5000  6 O 2.08-2.18
Ti: 0.1682 0.1682 0.2885  4 O 1.88-1.90
Ti: 0.9871 0.5146 0.5000  6 O 2.08-2.18
Ti: 0.1928 0.6483 0.1596  6 O 2.05-2.25
Ti: 0.8309 0.8309 0.7156  4 O 1.89-1.92
Ti: 0.6483 0.1928 0.1596  6 O 2.05-2.25
Ti: 0.4962 0.4962 0.3766  4 O 1.90-1.92
Ti: 0.1599 0.1599 0.0358  4 O 1.88-1.89
Zn: 0.8314 0.8314 0.9609  4 O 1.99-2.00
Zn: 0.1669 0.1669 0.6683  6 O 2.11-2.21
Zn: 0.3306 0.3306 0.8367  6 O 2.09-2.27
Zn: 0.8397 0.8397 0.3291  6 O 2.11-2.30
Zn: 0.0020 0.0020 0.4994  6 O 2.09-2.25
Zn: 0.6759 0.6759 0.1658  6 O 2.06-2.23
O: 0.6595 0.1921 0.9159  2 Ti 1.99-2.10, 2 Zn 2.00-2.09
O: 0.5054 0.5054 0.7488  3 Ti 1.91-2.07
O: 0.1921 0.6595 0.9159  2 Ti 1.99-2.10, 2 Zn 2.00-2.09
O: 0.6563 0.6563 0.9176  1 Zn 1.99, 3 Ti 2.02-2.18
O: 0.3301 0.8488 0.5797  2 Ti 1.90-2.09, 2 Zn 2.09-2.12
O: 0.0009 0.0009 0.7553  1 Ti 1.92
O: 0.1727 0.1727 0.4165  1 Ti 1.90
O: 0.4859 0.9986 0.7550  1 Ti 1.89, 1 Zn 2.11
O: 0.8488 0.3301 0.5797  2 Ti 1.90-2.09, 2 Zn 2.09-2.12
O: 0.1606 0.1606 0.9095  1 Ti 1.88
O: 0.3322 0.3322 0.5785  3 Ti 1.93-2.15
O: 0.9986 0.4859 0.7550  1 Ti 1.89, 1 Zn 2.11
O: 0.0067 0.5091 0.2475  1 Ti 1.88
O: 0.6635 0.6635 0.4193  3 Ti 1.90-2.08
O: 0.1527 0.6690 0.4198  2 Ti 1.90-2.08, 2 Zn 2.11-2.12
O: 0.5091 0.0067 0.2475  1 Ti 1.88
O: 0.8425 0.8425 0.0948  2 Zn 1.99-2.06, 2 Ti 2.07
O: 0.8290 0.8290 0.5868  3 Ti 1.91-2.09
O: 0.0025 0.0025 0.2451  1 Ti 1.89
O: 0.6690 0.1527 0.4198  2 Ti 1.90-2.08, 2 Zn 2.11-2.12
O: 0.3246 0.3246 0.0783  4 Ti 1.88-2.09
O: 0.8241 0.3387 0.0841  3 Ti 1.89-2.06
O: 0.5000 0.5000 0.2474  3 Ti 1.92-2.07
O: 0.3387 0.8241 0.0841  3 Ti 1.89-2.06

Properties
Density = 4.73 g/cm³
Total magnetization = 1.0 μB/f.u.
Space-group type = Cm

Each structure's energy above the most stable one, in meV/atom: arrangement one 41; arrangement two 0.